{
  "formula": "CsK2SbF6",
  "functional": "PBE",
  "state": "relaxed",
  "lattice_angstrom": [[0.0000, 4.9942, 4.9942], [4.9942, 0.0000, 4.9942], [4.9942, 4.9942, 0.0000]],
  "species": ["Cs", "K", "K", "Sb", "F", "F", "F", "F", "F", "F"],
  "fractional_positions": [[0.5000, 0.5000, 0.5000], [0.7500, 0.7500, 0.7500], [0.2500, 0.2500, 0.2500], [0.0000, 0.0000, 0.0000], [0.7799, 0.2201, 0.2201], [0.2201, 0.2201, 0.7799], [0.2201, 0.7799, 0.7799], [0.2201, 0.7799, 0.2201], [0.7799, 0.2201, 0.7799], [0.7799, 0.7799, 0.2201]],
  "e_tot_ev_per_cell": -43.53,
  "ef_ev_per_atom": -2.7567,
  "spacegroup": "Fm-3m, No. 225",
  "total_magnetization_mub_per_fu": 0.000
}